[1]
{
  "formula": "Ga3Pt5",
  "functional": "meta-GGA r2SCAN",
  "state": "optimized geometry",
  "space_group": "Cmmm, No. 65",
  "dft_energy_ev_per_cell": -296.565,
  "vol_a3_per_atom": 14.9,
  "formation_enthalpy_0k_mev_per_atom": -600,
  "cell": [[3.9646, 0.0000, 0.0000], [0.0000, 5.4748, -0.3846], [0.0000, 0.0342, 5.4882]],
  "species": ["Ga", "Pt", "Pt", "Pt", "Pt", "Ga", "Ga", "Pt"],
  "fractional_positions": [[0.5000, 0.2862, 0.7138], [0.0000, 0.5000, 0.5000], [0.0000, 0.0000, 0.5000], [0.0000, 0.5000, 0.0000], [0.5000, 0.7938, 0.7938], [0.0000, 0.0000, 0.0000], [0.5000, 0.7138, 0.2862], [0.5000, 0.2062, 0.2062]]
}

---

[2]
{
  "formula": "YbIn4Rh",
  "functional": "meta-GGA r2SCAN",
  "state": "optimized geometry",
  "space_group": "Pmma, No. 51",
  "dft_energy_ev_per_cell": -307.404,
  "vol_a3_per_atom": 22.1,
  "formation_enthalpy_0k_mev_per_atom": -454,
  "cell": [[4.2843, 0.0000, 0.0000], [0.0000, 7.2831, 0.0000], [0.0000, 0.0000, 8.5185]],
  "species": ["In", "In", "In", "Rh", "In", "Yb", "Rh", "In", "In", "In", "In", "Yb"],
  "fractional_positions": [[0.5000, 0.6817, 0.4383], [0.5000, 0.3183, 0.9383], [0.5000, 0.0699, 0.2500], [0.0000, 0.2109, 0.7500], [0.5000, 0.9301, 0.7500], [0.0000, 0.3999, 0.2500], [0.0000, 0.7891, 0.2500], [0.5000, 0.3183, 0.5617], [0.0000, 0.0000, 0.5000], [0.0000, 0.0000, 0.0000], [0.5000, 0.6817, 0.0617], [0.0000, 0.6001, 0.7500]]
}

---

[3]
{
  "formula": "LiMnF4",
  "functional": "meta-GGA r2SCAN",
  "state": "optimized geometry",
  "space_group": "C2/m, No. 12",
  "dft_energy_ev_per_cell": -47.446,
  "vol_a3_per_atom": 10.6,
  "formation_enthalpy_0k_mev_per_atom": -2979,
  "cell": [[3.1205, 3.2816, -0.0150], [-3.1205, 3.2816, -0.0150], [0.0000, 0.1919, 3.1129]],
  "species": ["F", "F", "F", "Mn", "Li", "F"],
  "fractional_positions": [[0.8045, 0.8045, 0.9666], [0.7070, 0.2930, 0.5000], [0.2930, 0.7070, 0.5000], [0.0000, 0.0000, 0.5000], [0.5000, 0.5000, 0.0000], [0.1955, 0.1955, 0.0334]]
}

---

[4]
{
  "formula": "EuAl3Cu2",
  "functional": "meta-GGA r2SCAN",
  "state": "optimized geometry",
  "space_group": "P6/mmm, No. 191",
  "dft_energy_ev_per_cell": -82.815,
  "vol_a3_per_atom": 17.3,
  "formation_enthalpy_0k_mev_per_atom": -401,
  "cell": [[1.8697, 3.3284, -1.4112], [-0.1012, 2.1633, 4.9681], [4.2187, -3.0280, -1.5521]],
  "species": ["Al", "Al", "Eu", "Al", "Cu", "Cu"],
  "fractional_positions": [[0.5000, 0.5000, 0.0000], [0.5000, 0.0000, 0.5000], [0.0000, 0.0000, 0.0000], [0.5000, 0.5000, 0.5000], [0.0000, 0.3330, 0.6669], [0.0000, 0.6670, 0.3331]]
}

---

[5]
{
  "formula": "Ca3UN4",
  "functional": "meta-GGA r2SCAN",
  "state": "optimized geometry",
  "space_group": "Fmm2, No. 42",
  "dft_energy_ev_per_cell": -149.815,
  "vol_a3_per_atom": 14.8,
  "formation_enthalpy_0k_mev_per_atom": -1530,
  "cell": [[5.9866, -0.7438, 0.3304], [3.7343, -0.9129, 4.6609], [1.3845, -4.6527, 0.5385]],
  "species": ["U", "Ca", "Ca", "N", "N", "N", "N", "Ca"],
  "fractional_positions": [[0.9975, 0.0025, 0.0025], [0.4974, 0.5026, 0.5026], [0.7470, 0.7530, 0.7530], [0.1988, 0.2052, 0.8012], [0.9977, 0.0023, 0.5042], [0.7948, 0.8012, 0.2052], [0.4958, 0.5042, 0.0023], [0.2470, 0.2530, 0.2530]]
}

---

[6]
{
  "formula": "K2Zn6O7",
  "functional": "meta-GGA r2SCAN",
  "state": "optimized geometry",
  "space_group": "P4_2nm, No. 102",
  "dft_energy_ev_per_cell": -262.830,
  "vol_a3_per_atom": 13.0,
  "formation_enthalpy_0k_mev_per_atom": -1607,
  "cell": [[10.8389, 0.0000, 0.0000], [0.0000, 10.8389, 0.0000], [0.0000, 0.0000, 3.3210]],
  "species": ["Zn", "Zn", "K", "Zn", "O", "O", "O", "Zn", "Zn", "K", "Zn", "O", "Zn", "K", "Zn", "O", "O", "O", "Zn", "O", "O", "O", "O", "O", "O", "Zn", "O", "K", "Zn", "Zn"],
  "fractional_positions": [[0.6217, 0.3783, 0.0004], [0.0877, 0.3482, 0.9999], [0.3583, 0.3583, 0.5020], [0.3482, 0.0877, 0.9999], [0.6881, 0.0034, 0.4999], [0.5034, 0.8119, 0.9999], [0.8119, 0.5034, 0.9999], [0.1217, 0.1217, 0.5004], [0.3783, 0.6217, 0.0004], [0.6417, 0.6417, 0.5020], [0.6518, 0.9123, 0.9999], [0.5000, 0.5000, 0.0074], [0.5877, 0.1518, 0.4999], [0.8583, 0.1417, 0.0020], [0.9123, 0.6518, 0.9999], [0.1931, 0.1931, 0.0008], [0.0034, 0.6881, 0.4999], [0.9966, 0.3119, 0.4999], [0.8783, 0.8783, 0.5004], [0.4966, 0.1881, 0.9999], [0.6931, 0.3069, 0.5008], [0.1881, 0.4966, 0.9999], [0.0000, 0.0000, 0.5074], [0.3069, 0.6931, 0.5008], [0.3119, 0.9966, 0.4999], [0.8482, 0.4123, 0.4999], [0.8069, 0.8069, 0.0008], [0.1417, 0.8583, 0.0020], [0.1518, 0.5877, 0.4999], [0.4123, 0.8482, 0.4999]]
}

---

[7]
{
  "formula": "K2PuCl5",
  "functional": "meta-GGA r2SCAN",
  "state": "optimized geometry",
  "space_group": "Pnma, No. 62",
  "dft_energy_ev_per_cell": -591.426,
  "vol_a3_per_atom": 27.8,
  "formation_enthalpy_0k_mev_per_atom": -2338,
  "cell": [[-2.2752, -7.5607, 0.9512], [7.3083, -1.6273, 4.5465], [-6.0153, 3.1693, 10.8037]],
  "species": ["Cl", "K", "K", "K", "Cl", "Cl", "Cl", "K", "Cl", "Cl", "Cl", "K", "K", "Pu", "Cl", "Cl", "Pu", "K", "Cl", "Cl", "Pu", "Cl", "Cl", "Cl", "Cl", "Cl", "Cl", "Cl", "Cl", "Cl", "Pu", "K"],
  "fractional_positions": [[0.1652, 0.2500, 0.7046], [0.0483, 0.5042, 0.1708], [0.5483, 0.0042, 0.3292], [0.4517, 0.9958, 0.6708], [0.1302, 0.7500, 0.6786], [0.1647, 0.9600, 0.4201], [0.6647, 0.4600, 0.0799], [0.0483, 0.9958, 0.1708], [0.3698, 0.7500, 0.1786], [0.8353, 0.4600, 0.5799], [0.3353, 0.5400, 0.9201], [0.9517, 0.0042, 0.8292], [0.9517, 0.4958, 0.8292], [0.4309, 0.2500, 0.9973], [0.8698, 0.2500, 0.3214], [0.8348, 0.7500, 0.2954], [0.5691, 0.7500, 0.0027], [0.5483, 0.4958, 0.3292], [0.1647, 0.5400, 0.4201], [0.6302, 0.2500, 0.8214], [0.9309, 0.7500, 0.5027], [0.3353, 0.9600, 0.9201], [0.9228, 0.7500, 0.0078], [0.8353, 0.0400, 0.5799], [0.3348, 0.2500, 0.2046], [0.6647, 0.0400, 0.0799], [0.5772, 0.7500, 0.5078], [0.4228, 0.2500, 0.4922], [0.6652, 0.7500, 0.7954], [0.0772, 0.2500, 0.9922], [0.0691, 0.2500, 0.4973], [0.4517, 0.5042, 0.6708]]
}

---

[8]
{
  "formula": "EuY2Se4",
  "functional": "meta-GGA r2SCAN",
  "state": "optimized geometry",
  "space_group": "Pnma, No. 62",
  "dft_energy_ev_per_cell": -608.729,
  "vol_a3_per_atom": 27.4,
  "formation_enthalpy_0k_mev_per_atom": -2255,
  "cell": [[0.0000, -4.1243, 0.0000], [-12.4902, 0.0000, 0.0000], [0.0000, 0.0000, -14.8989]],
  "species": ["Y", "Y", "Eu", "Se", "Se", "Eu", "Se", "Se", "Y", "Se", "Se", "Se", "Y", "Y", "Y", "Se", "Se", "Se", "Y", "Se", "Eu", "Se", "Se", "Eu", "Se", "Y", "Se", "Se"],
  "fractional_positions": [[0.7500, 0.5658, 0.3889], [0.7500, 0.0658, 0.1111], [0.2500, 0.7577, 0.6639], [0.7500, 0.4758, 0.2153], [0.7500, 0.2927, 0.6771], [0.2500, 0.2577, 0.8361], [0.2500, 0.4102, 0.4214], [0.2500, 0.2073, 0.1771], [0.7500, 0.0823, 0.5983], [0.2500, 0.5242, 0.7847], [0.7500, 0.0898, 0.9214], [0.7500, 0.8674, 0.5301], [0.7500, 0.5823, 0.9017], [0.2500, 0.9177, 0.4017], [0.2500, 0.4177, 0.0983], [0.2500, 0.6326, 0.0301], [0.7500, 0.9758, 0.2847], [0.2500, 0.9102, 0.0786], [0.2500, 0.4342, 0.6111], [0.2500, 0.0242, 0.7153], [0.7500, 0.7423, 0.1639], [0.2500, 0.1326, 0.4699], [0.7500, 0.5898, 0.5786], [0.7500, 0.2423, 0.3361], [0.7500, 0.7927, 0.8229], [0.2500, 0.9342, 0.8889], [0.7500, 0.3674, 0.9699], [0.2500, 0.7073, 0.3229]]
}

---

Q: Number 2 is which compound?
A: YbIn4Rh